Record 1
A plane-wave DFT calculation with GGA-PBE was carried out for crystalline DyErRu2 at its relaxed geometry.

Unit cell a=6.7770 b=6.7770 c=6.7770 alpha=90.00 beta=90.00 gamma=90.00
Closest atoms and distances in Å follow each position.
Space group Fm-3m (No. 225)
One atom of each set of equivalent atoms:
Dy  0.0000  0.0000  0.0000 [4 per cell]  8 Ru 2.93
Er  0.0000  0.0000  0.5000 [4 per cell]  8 Ru 2.93
Ru  0.2500  0.2500  0.2500 [8 per cell]  4 Er 2.93, 4 Dy 2.93

Summary:
**Total DFT energy (no corrections)**: -0.268 hartree per atom
**Energy of formation**: -355 meV/atom

---

Record 2
A plane-wave DFT calculation with GGA-PBE was carried out for crystalline TeS3N2 at its relaxed geometry.

Unit cell a=11.1148 b=10.2783 c=5.7991 alpha=90.00 beta=90.00 gamma=90.00
Closest atoms and distances in Å follow each position.
Space group Pnma (No. 62)
One atom of each set of equivalent atoms:
Te  0.2034  0.2500  0.2045 [4 per cell]  2 S 2.45
S  0.0595  0.7500  0.2428 [4 per cell]  2 N 1.58
S  0.1555  0.5765  0.6040 [8 per cell]  1 N 1.66
N  0.0946  0.6147  0.3523 [8 per cell]  2 S 1.58-1.66

Summary:
**Total DFT energy (no corrections)**: -0.179 hartree per atom
**MP2020-corrected energy**: -30.02 eV/f.u.
**Magnetic moment**: 0.01 μB per formula unit
**Excess energy over the best structure of this formula in the dataset**: 0.000 eV per atom
**Energy of formation**: 367 meV/atom

---

Record 3
A plane-wave DFT calculation with GGA-PBE was carried out for crystalline Tb2Be2O5 at its relaxed geometry.

Unit cell a=3.6155 b=3.6155 c=6.7994 alpha=90.00 beta=90.00 gamma=90.00
Closest atoms and distances in Å follow each position.
Space group P4/mmm (No. 123)
One atom of each set of equivalent atoms:
Tb  0.0000  0.0000  0.0000 [1 per cell]  12 O 2.56-2.62
Tb  0.0000  0.0000  0.5000 [1 per cell]  8 O 2.35
Be  0.5000  0.5000  0.2323 [2 per cell]  1 O 1.58
O  0.0000  0.5000  0.2784 [4 per cell]  2 Be 1.83
O  0.5000  0.5000  0.0000 [1 per cell]  2 Be 1.58

Summary:
**Total DFT energy (no corrections)**: -0.276 hartree per atom
**MP2020-corrected energy**: -71.09 eV/f.u.
**Magnetic moment**: 0.00 μB per formula unit
**Energy of formation**: -3289 meV/atom